The following is a GGA+U calculation of an optimized crystal structure of MgMn6O8F4, from the Materials Project.

Cell and atoms, written as POSCAR:
```
MgMn6O8F4
1.0
5.642 0.000 0.000
1.524 5.668 0.000
2.652 2.025 6.879
Mg Mn O F
1 6 8 4
direct
0.000 0.000 0.000 Mg
0.000 0.500 0.000 Mn
0.000 0.500 0.500 Mn
0.375 0.856 0.192 Mn
0.381 0.778 0.639 Mn
0.619 0.222 0.361 Mn
0.625 0.144 0.808 Mn
0.096 0.601 0.707 O
0.280 0.171 0.993 O
0.358 0.524 0.345 O
0.403 0.998 0.380 O
0.597 0.002 0.620 O
0.642 0.476 0.655 O
0.720 0.829 0.007 O
0.904 0.399 0.293 O
0.021 0.121 0.717 F
0.270 0.722 0.952 F
0.730 0.278 0.048 F
0.979 0.879 0.283 F
```

Summary:
Theoretical density (Mg/m³): 4.2
Space group: No. 2
Formation enthalpy at 0 K (eV per atom): -2.247
Magnetization (μB per formula unit): 24.0
Crystal system: triclinic


The following is a GGA+U calculation of an optimized crystal structure of Li10Co11O21, from the Materials Project.

Cell and atoms, written as POSCAR:
```
Li10Co11O21
1.0
8.586 0.000 0.000
-1.431 9.423 0.000
-2.862 -3.950 8.641
Li Co O
20 22 42
direct
0.024 0.429 0.357 Li
0.072 0.286 0.071 Li
0.119 0.143 0.786 Li
0.164 0.000 0.500 Li
0.212 0.856 0.212 Li
0.262 0.714 0.929 Li
0.310 0.571 0.643 Li
0.358 0.429 0.358 Li
0.405 0.286 0.071 Li
0.452 0.144 0.788 Li
0.548 0.856 0.212 Li
0.595 0.714 0.929 Li
0.642 0.571 0.642 Li
0.690 0.429 0.357 Li
0.738 0.286 0.071 Li
0.788 0.144 0.788 Li
0.836 0.000 0.500 Li
0.881 0.857 0.214 Li
0.928 0.714 0.929 Li
0.976 0.571 0.643 Li
0.024 0.429 0.857 Co
0.071 0.286 0.571 Co
0.118 0.143 0.285 Co
0.167 0.000 0.000 Co
0.214 0.857 0.715 Co
0.261 0.711 0.428 Co
0.309 0.571 0.142 Co
0.357 0.429 0.857 Co
0.405 0.289 0.572 Co
0.452 0.145 0.285 Co
0.500 0.000 0.000 Co
0.500 0.000 0.500 Co
0.548 0.855 0.715 Co
0.595 0.711 0.428 Co
0.643 0.571 0.143 Co
0.691 0.429 0.858 Co
0.739 0.289 0.572 Co
0.786 0.143 0.285 Co
0.833 0.000 0.000 Co
0.882 0.857 0.715 Co
0.929 0.714 0.429 Co
0.976 0.571 0.143 Co
0.022 0.913 0.609 O
0.026 0.944 0.105 O
0.069 0.770 0.323 O
0.074 0.802 0.820 O
0.117 0.627 0.037 O
0.121 0.659 0.534 O
0.165 0.484 0.752 O
0.168 0.515 0.248 O
0.211 0.341 0.466 O
0.216 0.373 0.962 O
0.259 0.198 0.180 O
0.264 0.230 0.677 O
0.308 0.056 0.895 O
0.318 0.089 0.394 O
0.359 0.911 0.606 O
0.359 0.944 0.105 O
0.405 0.773 0.329 O
0.406 0.802 0.820 O
0.450 0.627 0.037 O
0.454 0.656 0.535 O
0.498 0.484 0.753 O
0.502 0.516 0.247 O
0.546 0.344 0.465 O
0.550 0.373 0.963 O
0.594 0.198 0.180 O
0.595 0.227 0.671 O
0.641 0.056 0.895 O
0.641 0.089 0.394 O
0.682 0.911 0.606 O
0.692 0.944 0.105 O
0.736 0.770 0.323 O
0.741 0.802 0.820 O
0.784 0.627 0.038 O
0.789 0.659 0.534 O
0.832 0.485 0.752 O
0.835 0.516 0.248 O
0.879 0.341 0.466 O
0.883 0.373 0.963 O
0.926 0.198 0.180 O
0.931 0.230 0.677 O
0.974 0.056 0.895 O
0.978 0.087 0.391 O
```

Summary:
Theoretical density (Mg/m³): 5.0
Space group: No. 2
Formation enthalpy at 0 K (eV per atom): -1.704
Magnetization (μB per formula unit): 1.0
Crystal system: triclinic


The following is a GGA+U calculation of an optimized crystal structure of MgCo4Ni2O8, from the Materials Project.

Cell and atoms, written as POSCAR:
```
MgCo4Ni2O8
1.0
-2.921 3.224 4.075
2.921 -3.224 4.075
2.921 3.224 -4.075
Mg Co Ni O
1 4 2 8
direct
0.000 0.000 0.000 Mg
0.311 0.311 0.000 Co
0.349 0.849 0.500 Co
0.750 0.013 0.263 Co
0.750 0.487 0.737 Co
0.282 0.553 0.729 Ni
0.824 0.553 0.271 Ni
0.125 0.400 0.275 O
0.125 0.850 0.725 O
0.513 0.283 0.770 O
0.513 0.742 0.230 O
0.606 0.295 0.311 O
0.612 0.798 0.814 O
0.984 0.295 0.689 O
0.984 0.798 0.186 O
```

Summary:
Theoretical density (Mg/m³): 5.5
Space group: No. 44
Formation enthalpy at 0 K (eV per atom): -1.191
Magnetization (μB per formula unit): 4.0
Crystal system: orthorhombic


The following is a GGA+U calculation of an optimized crystal structure of LiP3W2O12, from the Materials Project.

Cell and atoms, written as POSCAR:
```
LiP3W2O12
1.0
7.656 -4.453 0.000
7.656 4.453 0.000
-5.097 0.000 7.312
Li P W O
2 6 4 24
direct
0.235 0.235 0.242 Li
0.765 0.765 0.758 Li
0.085 0.623 0.499 P
0.298 0.414 0.001 P
0.377 0.915 0.501 P
0.586 0.702 0.999 P
0.800 0.200 0.500 P
0.878 0.122 0.000 P
0.198 0.020 0.825 W
0.480 0.303 0.674 W
0.697 0.520 0.326 W
0.980 0.802 0.175 W
0.040 0.649 0.323 O
0.064 0.107 0.008 O
0.117 0.579 0.005 O
0.136 0.781 0.673 O
0.219 0.864 0.327 O
0.243 0.435 0.494 O
0.273 0.253 0.004 O
0.330 0.367 0.827 O
0.351 0.960 0.677 O
0.390 0.082 0.497 O
0.421 0.883 0.995 O
0.460 0.459 0.175 O
0.541 0.540 0.825 O
0.565 0.757 0.506 O
0.617 0.223 0.504 O
0.633 0.670 0.173 O
0.722 0.152 0.825 O
0.747 0.727 0.996 O
0.777 0.383 0.496 O
0.833 0.038 0.327 O
0.848 0.278 0.175 O
0.893 0.936 0.992 O
0.918 0.610 0.503 O
0.962 0.167 0.673 O
```

Summary:
Theoretical density (Mg/m³): 4.4
Space group: No. 5
Formation enthalpy at 0 K (eV per atom): -2.525
Magnetization (μB per formula unit): 4.0
Crystal system: monoclinic


The following is a GGA+U calculation of an optimized crystal structure of RbVH6SO9, from the Materials Project.

Cell and atoms, written as POSCAR:
```
RbVH6SO9
1.0
6.300 0.000 0.000
0.000 10.129 0.000
-2.100 0.000 6.443
Rb V H S O
2 2 12 2 18
direct
0.196 0.000 0.185 Rb
0.804 0.500 0.815 Rb
0.117 0.347 0.383 V
0.883 0.847 0.617 V
0.029 0.110 0.657 H
0.189 0.610 0.263 H
0.272 0.558 0.692 H
0.310 0.427 0.821 H
0.379 0.699 0.073 H
0.470 0.202 0.696 H
0.530 0.702 0.304 H
0.621 0.199 0.927 H
0.690 0.927 0.179 H
0.728 0.058 0.308 H
0.811 0.110 0.737 H
0.971 0.610 0.343 H
0.422 0.846 0.733 S
0.578 0.346 0.267 S
0.039 0.288 0.145 O
0.063 0.554 0.280 O
0.177 0.212 0.537 O
0.189 0.880 0.591 O
0.215 0.467 0.690 O
0.373 0.709 0.215 O
0.434 0.389 0.399 O
0.441 0.703 0.773 O
0.477 0.924 0.924 O
0.523 0.424 0.076 O
0.559 0.203 0.227 O
0.566 0.889 0.601 O
0.627 0.209 0.785 O
0.785 0.967 0.310 O
0.811 0.380 0.409 O
0.823 0.712 0.463 O
0.937 0.054 0.720 O
0.961 0.788 0.855 O
```

Summary:
Theoretical density (Mg/m³): 2.6
Space group: No. 4
Formation enthalpy at 0 K (eV per atom): -1.719
Magnetization (μB per formula unit): 0.0
Crystal system: monoclinic


The following is a GGA+U calculation of an optimized crystal structure of Li5V2Ni3O10, from the Materials Project.

Cell and atoms, written as POSCAR:
```
Li5V2Ni3O10
1.0
-1.074 4.994 -0.198
-2.672 2.271 6.934
10.197 0.313 0.213
O Li Ni V
20 10 6 4
direct
0.221 0.467 0.436 O
0.768 0.344 0.289 O
0.768 0.929 0.163 O
0.235 0.062 0.832 O
0.759 0.154 0.476 O
0.759 0.154 0.975 O
0.230 0.659 0.711 O
0.233 0.840 0.024 O
0.230 0.659 0.211 O
0.235 0.248 0.609 O
0.233 0.840 0.524 O
0.235 0.062 0.332 O
0.768 0.929 0.663 O
0.221 0.467 0.935 O
0.235 0.249 0.109 O
0.764 0.753 0.891 O
0.768 0.344 0.789 O
0.781 0.550 0.569 O
0.764 0.753 0.391 O
0.781 0.550 0.069 O
0.508 0.798 0.702 Li
0.504 0.601 0.395 Li
0.504 0.601 0.895 Li
0.996 0.502 0.250 Li
0.996 0.502 0.750 Li
0.492 0.201 0.298 Li
0.493 0.201 0.798 Li
0.509 0.798 0.202 Li
0.505 0.397 0.608 Li
0.505 0.397 0.107 Li
0.500 0.000 0.999 Ni
0.001 0.102 0.152 Ni
0.500 0.000 0.499 Ni
0.994 0.900 0.848 Ni
0.001 0.102 0.652 Ni
0.994 0.900 0.348 Ni
0.019 0.691 0.050 V
0.987 0.302 0.449 V
0.986 0.303 0.949 V
0.018 0.691 0.550 V
```

Summary:
Theoretical density (Mg/m³): 4.3
Formation enthalpy at 0 K (eV per atom): -2.049
Magnetization (μB per formula unit): 3.0


The following is a GGA+U calculation of an optimized crystal structure of FeOF, from the Materials Project.

Cell and atoms, written as POSCAR:
```
FeOF
1.0
9.524 0.000 0.000
0.000 3.097 0.000
-0.152 0.000 14.228
Fe O F
12 12 12
direct
0.000 0.000 0.000 Fe
0.001 0.000 0.622 Fe
0.003 0.000 0.296 Fe
0.238 0.500 0.146 Fe
0.251 0.500 0.484 Fe
0.257 0.500 0.813 Fe
0.499 0.000 0.964 Fe
0.504 0.000 0.620 Fe
0.534 0.000 0.308 Fe
0.745 0.500 0.479 Fe
0.745 0.500 0.817 Fe
0.759 0.500 0.150 Fe
0.111 0.500 0.036 O
0.160 0.000 0.541 O
0.163 0.000 0.209 O
0.399 0.500 0.906 O
0.404 0.500 0.578 O
0.605 0.500 0.376 O
0.653 0.000 0.202 O
0.657 0.000 0.874 O
0.662 0.000 0.542 O
0.842 0.000 0.075 O
0.906 0.500 0.576 O
0.910 0.500 0.247 O
0.105 0.500 0.376 F
0.105 0.500 0.712 F
0.152 0.000 0.867 F
0.348 0.000 0.410 F
0.348 0.000 0.744 F
0.359 0.000 0.076 F
0.406 0.500 0.244 F
0.591 0.500 0.035 F
0.599 0.500 0.709 F
0.850 0.000 0.747 F
0.861 0.000 0.412 F
0.914 0.500 0.905 F
```

Summary:
Theoretical density (Mg/m³): 4.3
Space group: No. 6
Formation enthalpy at 0 K (eV per atom): -2.026
Magnetization (μB per formula unit): 5.0
Crystal system: monoclinic


The following is a GGA+U calculation of an optimized crystal structure of Li2CrFe3O8, from the Materials Project.

Cell and atoms, written as POSCAR:
```
Li2CrFe3O8
1.0
2.965 -5.090 0.000
2.965 5.090 0.000
0.000 0.000 9.600
Li Cr Fe O
4 2 6 16
direct
0.000 0.000 0.000 Li
0.000 0.000 0.500 Li
0.332 0.668 0.603 Li
0.668 0.332 0.103 Li
0.336 0.664 0.013 Cr
0.664 0.336 0.513 Cr
0.169 0.338 0.285 Fe
0.169 0.831 0.284 Fe
0.338 0.169 0.785 Fe
0.662 0.831 0.285 Fe
0.831 0.169 0.784 Fe
0.831 0.662 0.785 Fe
0.000 0.000 0.187 O
0.000 0.000 0.687 O
0.042 0.517 0.156 O
0.166 0.834 0.898 O
0.167 0.327 0.896 O
0.327 0.167 0.396 O
0.333 0.667 0.395 O
0.481 0.519 0.156 O
0.483 0.958 0.156 O
0.517 0.042 0.656 O
0.519 0.481 0.656 O
0.667 0.333 0.895 O
0.673 0.833 0.896 O
0.833 0.673 0.396 O
0.834 0.166 0.398 O
0.958 0.483 0.656 O
```

Summary:
Theoretical density (Mg/m³): 4.1
Space group: No. 36
Formation enthalpy at 0 K (eV per atom): -1.804
Magnetization (μB per formula unit): 16.0
Crystal system: orthorhombic